A plane-wave DFT calculation with PBE-GGA was carried out for an optimized crystal structure of KGaGe3O8.

Structure (extended XYZ):
```
26
Lattice="7.648 0.000 0.000 -1.838 7.910 0.000 -2.076 -3.897 7.080" Properties=species:S:1:pos:R:3 pbc="T T T"
K -0.030 1.124 1.937
K 3.764 2.889 5.143
Ga -0.212 5.723 1.353
Ga 3.946 -1.709 5.727
Ge -0.354 -1.713 5.830
Ge -0.179 1.443 5.838
Ge -0.045 4.205 4.141
Ge 3.779 -0.192 2.939
Ge 3.913 2.570 1.242
Ge 4.088 5.727 1.250
O -1.977 -2.265 6.114
O -1.658 1.589 6.721
O -1.548 4.935 4.770
O -0.026 4.230 2.393
O -0.056 -0.155 5.042
O -0.236 2.441 4.379
O 2.306 -0.663 2.144
O 2.393 2.196 0.404
O 1.341 1.818 6.676
O 1.429 4.676 4.936
O 3.970 1.573 2.701
O 3.790 4.168 2.038
O 3.760 -0.217 4.687
O 5.282 -0.922 2.310
O 5.392 2.424 0.359
O 5.711 6.278 0.966
```

## Properties
As for the energy of formation: -211.1 kJ/mol of atoms. As for the space group: P-1 (2).

A plane-wave DFT calculation with PBE-GGA was carried out for an optimized crystal structure of KGaGeS4.

Structure (extended XYZ):
```
28
Lattice="6.999 0.000 0.000 0.000 16.276 0.000 -2.662 0.000 6.770" Properties=species:S:1:pos:R:3 pbc="T T T"
K -0.335 0.000 1.222
K 1.146 12.894 5.557
K 3.191 4.756 1.212
K 4.672 8.138 5.547
Ga -0.087 10.909 1.907
Ga 1.080 7.825 3.214
Ga 3.257 15.963 3.556
Ga 4.423 2.770 4.863
Ge -0.261 5.145 3.573
Ge 0.919 1.957 4.936
Ge 3.417 10.095 1.833
Ge 4.598 13.283 3.196
S -0.046 6.399 1.729
S -0.270 13.123 2.561
S 0.091 9.737 3.824
S -0.838 2.194 6.291
S 0.729 3.184 3.026
S 1.730 10.719 0.495
S 1.055 16.118 4.223
S 0.876 6.380 5.051
S 3.461 14.518 1.719
S 3.282 7.980 2.546
S 2.607 2.581 6.274
S 3.608 11.322 3.744
S 5.174 10.332 0.478
S 4.246 1.599 2.946
S 4.607 4.985 4.209
S 4.382 14.537 5.040
```

## Properties
For the total magnetization, the calculation gives 0.00 Bohr magnetons per cell. As for the energy of formation: -102.5 kJ/mol of atoms. As for the space group: P2_1 (4).